Below is a relaxed La7BP2O17 crystal, with properties calculated at the PBE level.

Cell: 7.0329 12.6891 18.0814 Å, 90.00 90.00 97.52°
Last column: nearest neighbours and their distance in Å.
Fractional positions:
La 0.2606 0.0710 0.1547  6 O 2.34-2.59
O 0.0871 0.9272 0.5809  1 B 1.38
O 0.0853 0.8805 0.8554  4 La 2.41-2.59
O 0.1703 0.2030 0.9705  1 P 1.55
O 0.6028 0.5087 0.2315  4 La 2.30-2.48
O 0.4162 0.5591 0.5659  1 P 1.57
La 0.0208 0.8209 0.2740  7 O 2.34-2.61
La 0.7394 0.9290 0.8453  6 O 2.34-2.59
O 0.3061 0.6272 0.8912  4 La 2.36-2.52
O 0.9162 0.0591 0.9341  1 P 1.57
O 0.7760 0.5977 0.7356  1 P 1.56
O 0.2240 0.4023 0.2644  1 P 1.56
O 0.6703 0.7030 0.5295  1 P 1.55
O 0.9147 0.1195 0.1446  4 La 2.41-2.59
La 0.7736 0.4902 0.5550  4 O 2.28-2.51
O 0.4516 0.7379 0.6363  1 P 1.53
La 0.2851 0.0687 0.3695  3 O 2.30-2.52
O 0.2760 0.0977 0.7644  1 P 1.56
O 0.1040 0.2281 0.3283  1 P 1.55
P 0.4515 0.1640 0.8021  4 O 1.54-1.57
O 0.7284 0.9229 0.4853  1 B 1.39
La 0.4969 0.8027 0.3932  6 O 2.37-2.61
O 0.5853 0.3805 0.6446  4 La 2.41-2.59
La 0.5208 0.3209 0.2260  7 O 2.34-2.61
P 0.5485 0.8360 0.1979  4 O 1.54-1.57
La 0.2394 0.4290 0.6547  6 O 2.34-2.59
O 0.4953 0.1282 0.2426  3 La 2.34-2.45
O 0.0204 0.5966 0.6346  1 P 1.54
La 0.5031 0.1973 0.6068  6 O 2.37-2.61
O 0.7716 0.5771 0.9853  1 B 1.39
O 0.3229 0.7219 0.5040  1 P 1.56
La 0.8085 0.0964 0.2750  5 O 2.36-2.60
O 0.3297 0.2970 0.4705  1 P 1.55
O 0.5047 0.8718 0.7574  3 La 2.34-2.45
La 0.7606 0.5710 0.3453  6 O 2.34-2.59
B 0.2508 0.5014 0.0686  3 O 1.38-1.42
P 0.0485 0.3360 0.3021  4 O 1.54-1.57
O 0.6939 0.3728 0.1088  4 La 2.36-2.52
O 0.0989 0.5023 0.1200  1 B 1.42
La 0.2264 0.5098 0.4450  4 O 2.28-2.51
La 0.7851 0.5687 0.1305  3 O 2.30-2.52
O 0.9610 0.5947 0.4576  4 La 2.28-2.48
O 0.6170 0.1926 0.7442  1 P 1.57
B 0.7508 0.0014 0.4314  3 O 1.38-1.42
O 0.5989 0.0023 0.3800  1 B 1.42
O 0.9516 0.2379 0.8637  1 P 1.53
O 0.6771 0.2781 0.4960  1 P 1.56
O 0.8960 0.7719 0.6717  1 P 1.55
O 0.1939 0.8728 0.3912  4 La 2.36-2.52
La 0.0089 0.2132 0.5174  6 O 2.36-2.60
P 0.5356 0.3169 0.4385  4 O 1.53-1.57
La 0.2149 0.4313 0.8695  3 O 2.30-2.52
O 0.4147 0.6195 0.3554  4 La 2.41-2.59
O 0.1170 0.6926 0.7558  1 P 1.57
O 0.9129 0.0728 0.4191  1 B 1.38
O 0.6040 0.7281 0.1717  1 P 1.55
La 0.9969 0.3027 0.1068  6 O 2.37-2.61
La 0.9911 0.7868 0.4826  6 O 2.36-2.60
O 0.4129 0.5728 0.0809  1 B 1.38
P 0.4644 0.6831 0.5615  4 O 1.53-1.57
La 0.7149 0.9313 0.6305  3 O 2.30-2.52
La 0.0031 0.6973 0.8932  6 O 2.37-2.61
O 0.0390 0.4053 0.5424  4 La 2.28-2.48
O 0.4610 0.0947 0.0424  4 La 2.28-2.48
La 0.1915 0.9036 0.7250  5 O 2.36-2.60
La 0.7264 0.0098 0.0550  4 O 2.28-2.51
P 0.9515 0.6640 0.6979  4 O 1.54-1.57
O 0.5390 0.9053 0.9576  4 La 2.28-2.48
O 0.1028 0.0087 0.2685  4 La 2.30-2.48
O 0.9953 0.6282 0.2574  3 La 2.34-2.45
O 0.2284 0.4229 0.0147  1 B 1.39
O 0.5838 0.4409 0.4341  1 P 1.57
La 0.9792 0.1791 0.7260  7 O 2.34-2.61
O 0.3075 0.2574 0.1317  4 La 2.34-2.44
O 0.6925 0.7426 0.8683  4 La 2.34-2.44
La 0.4911 0.2868 0.0174  6 O 2.36-2.60
O 0.8229 0.2219 0.9960  1 P 1.56
O 0.9796 0.4034 0.3654  1 P 1.54
P 0.0356 0.8169 0.0615  4 O 1.53-1.57
O 0.9011 0.4977 0.8800  1 B 1.42
B 0.2492 0.9986 0.5686  3 O 1.38-1.42
O 0.8297 0.7970 0.0295  1 P 1.55
O 0.8075 0.7574 0.3683  4 La 2.34-2.44
O 0.3960 0.2719 0.8283  1 P 1.55
O 0.8061 0.1272 0.6088  4 La 2.36-2.52
O 0.5871 0.4272 0.9191  1 B 1.38
La 0.3085 0.5964 0.2250  5 O 2.36-2.60
P 0.9644 0.1831 0.9385  4 O 1.53-1.57
O 0.0838 0.9409 0.0659  1 P 1.57
O 0.3830 0.8074 0.2558  1 P 1.57
O 0.1771 0.7781 0.0040  1 P 1.56
La 0.2736 0.9902 0.9450  4 O 2.28-2.51
O 0.5484 0.2621 0.3637  1 P 1.53
O 0.4796 0.9034 0.1346  1 P 1.54
O 0.1925 0.2426 0.6317  4 La 2.34-2.44
O 0.3972 0.4913 0.7685  4 La 2.30-2.48
O 0.4011 0.9977 0.6200  1 B 1.42
B 0.7492 0.4986 0.9314  3 O 1.38-1.42
O 0.8830 0.3074 0.2442  1 P 1.57
La 0.4792 0.6791 0.7740  7 O 2.34-2.61
O 0.0047 0.3718 0.7426  3 La 2.34-2.45
O 0.5204 0.0966 0.8654  1 P 1.54
O 0.2716 0.0771 0.5147  1 B 1.39
La 0.5089 0.7132 0.9826  6 O 2.36-2.60
O 0.0484 0.7621 0.1363  1 P 1.53
O 0.8972 0.9913 0.7315  4 La 2.30-2.48
O 0.7240 0.9023 0.2356  1 P 1.56
La 0.6915 0.4036 0.7750  5 O 2.36-2.60

Output
Total energy: -892.9 eV per cell
Magnetic moment: 0.00 μB/cell
Energy relative to the elements: -3.657 eV per atom
SG: P2_1/c, No. 14